## Ca2MnRuO6 (PBE with a Hubbard U)

Data for crystalline Ca2MnRuO6 at its relaxed geometry.

```
data_Ca2MnRuO6
_space_group_name_H-M_alt 'P 1 21/c 1'
_space_group_IT_number 14
_cell_length_a 5.514
_cell_length_b 5.674
_cell_length_c 9.279
_cell_angle_alpha 90.00
_cell_angle_beta 125.69
_cell_angle_gamma 90.00
loop_
_space_group_symop_operation_xyz
'x,y,z'
'-x,-y,-z'
'-x,y+1/2,-z+1/2'
'x,-y+1/2,z+1/2'
loop_
_atom_site_label
_atom_site_type_symbol
_atom_site_fract_x
_atom_site_fract_y
_atom_site_fract_z
Ca1 Ca 0.238 0.056 0.249
Mn1 Mn 0.500 0.000 0.000
Ru1 Ru 0.000 0.000 0.500
O1 O 0.144 0.213 0.952
O2 O 0.242 0.695 0.952
O3 O 0.348 0.030 0.753
```

Values from the calculation:
Corrected total energy (MP2020 scheme): -152.15 eV per cell
DFT formation energy: -2.3942 eV per atom
E_tot: -7.029 eV per atom


## Na4Fe6O13 (PBE with a Hubbard U)

Data for crystalline Na4Fe6O13 at its relaxed geometry.

```
data_Na4Fe6O13
_space_group_name_H-M_alt 'I b a 2'
_space_group_IT_number 45
_cell_length_a 10.849
_cell_length_b 18.750
_cell_length_c 5.272
_cell_angle_alpha 90.00
_cell_angle_beta 90.00
_cell_angle_gamma 90.00
loop_
_space_group_symop_operation_xyz
'x,y,z'
'-x,-y,z'
'-x,y,z+1/2'
'x,-y,z+1/2'
'x+1/2,y+1/2,z+1/2'
'-x+1/2,-y+1/2,z+1/2'
'-x+1/2,y+1/2,z'
'x+1/2,-y+1/2,z'
loop_
_atom_site_label
_atom_site_type_symbol
_atom_site_fract_x
_atom_site_fract_y
_atom_site_fract_z
Na1 Na 0.123 0.167 0.000
Na2 Na 0.142 0.344 0.011
Fe1 Fe 0.101 0.053 0.499
Fe2 Fe 0.124 0.259 0.501
Fe3 Fe 0.130 0.461 0.581
O1 O 0.000 0.500 0.315
O2 O 0.002 0.264 0.245
O3 O 0.076 0.048 0.891
O4 O 0.108 0.148 0.490
O5 O 0.141 0.367 0.494
O6 O 0.226 0.462 0.912
O7 O 0.248 0.250 0.756
```

Values from the calculation:
Corrected total energy (MP2020 scheme): -620.40 eV per cell
DFT formation energy: -1.5073 eV per atom
E_tot: -5.767 eV per atom


## BaNdMgMn2O5 (PBE with a Hubbard U)

Data for crystalline BaNdMgMn2O5 at its relaxed geometry.

```
data_BaNdMgMn2O5
_space_group_name_H-M_alt 'P m m 2'
_space_group_IT_number 25
_cell_length_a 3.817
_cell_length_b 4.183
_cell_length_c 11.146
_cell_angle_alpha 90.00
_cell_angle_beta 90.00
_cell_angle_gamma 90.00
loop_
_space_group_symop_operation_xyz
'x,y,z'
'-x,-y,z'
'-x,y,z'
'x,-y,z'
loop_
_atom_site_label
_atom_site_type_symbol
_atom_site_fract_x
_atom_site_fract_y
_atom_site_fract_z
Ba1 Ba 0.000 0.000 0.000
Nd1 Nd 0.000 0.000 0.365
Mg1 Mg 0.000 0.000 0.662
Mn1 Mn 0.500 0.500 0.196
Mn2 Mn 0.500 0.500 0.581
O1 O 0.000 0.500 0.291
O2 O 0.000 0.500 0.638
O3 O 0.500 0.000 0.241
O4 O 0.500 0.000 0.532
O5 O 0.500 0.500 0.015
```

Values from the calculation:
Corrected total energy (MP2020 scheme): -75.18 eV per cell
DFT formation energy: -2.3828 eV per atom
E_tot: -6.841 eV per atom


## MgCoBiO3 (PBE with a Hubbard U)

Data for crystalline MgCoBiO3 at its relaxed geometry.

```
data_MgCoBiO3
_space_group_name_H-M_alt 'P 4 m m'
_space_group_IT_number 99
_cell_length_a 3.721
_cell_length_b 3.721
_cell_length_c 6.828
_cell_angle_alpha 90.00
_cell_angle_beta 90.00
_cell_angle_gamma 90.00
loop_
_space_group_symop_operation_xyz
'x,y,z'
'-y,x,z'
'-x,-y,z'
'y,-x,z'
'-x,y,z'
'y,x,z'
'x,-y,z'
'-y,-x,z'
loop_
_atom_site_label
_atom_site_type_symbol
_atom_site_fract_x
_atom_site_fract_y
_atom_site_fract_z
Mg1 Mg 0.000 0.000 0.000
Co1 Co 0.500 0.500 0.800
Bi1 Bi 0.000 0.000 0.475
O1 O 0.000 0.500 0.912
O2 O 0.500 0.500 0.513
```

Values from the calculation:
Corrected total energy (MP2020 scheme): -35.38 eV per cell
DFT formation energy: -1.3229 eV per atom
E_tot: -5.280 eV per atom


## Sr4MgFe2Br2O6 (PBE with a Hubbard U)

Data for crystalline Sr4MgFe2Br2O6 at its relaxed geometry.

```
data_Sr4MgFe2Br2O6
_space_group_name_H-M_alt 'P -4 m 2'
_space_group_IT_number 115
_cell_length_a 4.081
_cell_length_b 4.081
_cell_length_c 16.347
_cell_angle_alpha 90.00
_cell_angle_beta 90.00
_cell_angle_gamma 90.00
loop_
_space_group_symop_operation_xyz
'x,y,z'
'y,-x,-z'
'-x,-y,z'
'-y,x,-z'
'-x,y,z'
'-y,-x,-z'
'x,-y,z'
'y,x,-z'
loop_
_atom_site_label
_atom_site_type_symbol
_atom_site_fract_x
_atom_site_fract_y
_atom_site_fract_z
Sr1 Sr 0.000 0.500 0.123
Sr2 Sr 0.000 0.500 0.319
Mg1 Mg 0.000 0.000 0.000
Fe1 Fe 0.000 0.500 0.797
Br1 Br 0.000 0.500 0.596
O1 O 0.000 0.000 0.212
O2 O 0.000 0.500 0.952
O3 O 0.500 0.500 0.218
```

Values from the calculation:
Corrected total energy (MP2020 scheme): -91.47 eV per cell
DFT formation energy: -2.2139 eV per atom
E_tot: -5.522 eV per atom


## CrP2H15N2O11 (PBE with a Hubbard U)

Data for crystalline CrP2H15N2O11 at its relaxed geometry.

```
data_CrP2H15N2O11
_space_group_name_H-M_alt 'C 1 2/m 1'
_space_group_IT_number 12
_cell_length_a 13.304
_cell_length_b 12.246
_cell_length_c 7.534
_cell_angle_alpha 90.00
_cell_angle_beta 105.65
_cell_angle_gamma 90.00
loop_
_space_group_symop_operation_xyz
'x,y,z'
'-x,-y,-z'
'-x,y,-z'
'x,-y,z'
'x+1/2,y+1/2,z'
'-x+1/2,-y+1/2,-z'
'-x+1/2,y+1/2,-z'
'x+1/2,-y+1/2,z'
loop_
_atom_site_label
_atom_site_type_symbol
_atom_site_fract_x
_atom_site_fract_y
_atom_site_fract_z
Cr1 Cr 0.220 0.000 0.283
P1 P 0.130 0.377 0.354
H1 H 0.000 0.326 0.500
H2 H 0.032 0.000 0.313
H3 H 0.069 0.210 0.732
H4 H 0.095 0.500 0.791
H5 H 0.102 0.067 0.497
H6 H 0.126 0.123 0.985
H7 H 0.159 0.198 0.169
H8 H 0.178 0.433 0.957
H9 H 0.184 0.162 0.760
N1 N 0.101 0.000 0.414
N2 N 0.170 0.500 0.873
O1 O 0.027 0.320 0.360
O2 O 0.093 0.500 0.279
O3 O 0.112 0.144 0.766
O4 O 0.140 0.121 0.124
O5 O 0.180 0.327 0.214
O6 O 0.203 0.386 0.549
```

Values from the calculation:
Corrected total energy (MP2020 scheme): -753.04 eV per cell
DFT formation energy: -1.4771 eV per atom
E_tot: -5.765 eV per atom


## Li3TiMn4O8 (PBE with a Hubbard U)

Data for crystalline Li3TiMn4O8 at its relaxed geometry.

```
data_Li3TiMn4O8
_space_group_name_H-M_alt 'P -1'
_space_group_IT_number 2
_cell_length_a 6.124
_cell_length_b 6.139
_cell_length_c 6.149
_cell_angle_alpha 119.17
_cell_angle_beta 90.73
_cell_angle_gamma 119.76
loop_
_space_group_symop_operation_xyz
'x,y,z'
'-x,-y,-z'
loop_
_atom_site_label
_atom_site_type_symbol
_atom_site_fract_x
_atom_site_fract_y
_atom_site_fract_z
Li1 Li 0.000 0.000 0.000
Li2 Li 0.000 0.000 0.500
Li3 Li 0.000 0.500 0.000
Ti1 Ti 0.500 0.500 0.500
Mn1 Mn 0.000 0.500 0.500
Mn2 Mn 0.500 0.000 0.000
Mn3 Mn 0.500 0.000 0.500
Mn4 Mn 0.500 0.500 0.000
O1 O 0.254 0.471 0.253
O2 O 0.269 0.499 0.729
O3 O 0.275 0.001 0.726
O4 O 0.284 0.035 0.288
```

Values from the calculation:
Corrected total energy (MP2020 scheme): -127.43 eV per cell
DFT formation energy: -2.3485 eV per atom
E_tot: -7.204 eV per atom


## Fe9P8O32 (PBE with a Hubbard U)

Data for crystalline Fe9P8O32 at its relaxed geometry.

```
data_Fe9P8O32
_space_group_name_H-M_alt 'P -1'
_space_group_IT_number 2
_cell_length_a 8.822
_cell_length_b 8.940
_cell_length_c 9.352
_cell_angle_alpha 111.46
_cell_angle_beta 101.81
_cell_angle_gamma 101.00
loop_
_space_group_symop_operation_xyz
'x,y,z'
'-x,-y,-z'
loop_
_atom_site_label
_atom_site_type_symbol
_atom_site_fract_x
_atom_site_fract_y
_atom_site_fract_z
Fe1 Fe 0.000 0.000 0.000
Fe2 Fe 0.000 0.500 0.500
Fe3 Fe 0.203 0.235 0.432
Fe4 Fe 0.286 0.643 0.070
Fe5 Fe 0.316 0.204 0.959
Fe6 Fe 0.500 0.000 0.500
P1 P 0.062 0.377 0.153
P2 P 0.164 0.881 0.599
P3 P 0.334 0.044 0.223
P4 P 0.397 0.462 0.799
O1 O 0.020 0.149 0.483
O2 O 0.108 0.372 0.322
O3 O 0.124 0.679 0.917
O4 O 0.131 0.243 0.045
O5 O 0.132 0.550 0.158
O6 O 0.149 0.028 0.208
O7 O 0.183 0.708 0.579
O8 O 0.198 0.998 0.783
O9 O 0.274 0.971 0.530
O10 O 0.284 0.369 0.868
O11 O 0.304 0.437 0.631
O12 O 0.379 0.084 0.090
O13 O 0.379 0.884 0.225
O14 O 0.414 0.184 0.399
O15 O 0.444 0.651 0.929
O16 O 0.449 0.590 0.207
```

Values from the calculation:
Corrected total energy (MP2020 scheme): -388.17 eV per cell
DFT formation energy: -2.2510 eV per atom
E_tot: -7.059 eV per atom


## Li2Fe2C2O7 (PBE with a Hubbard U)

Data for crystalline Li2Fe2C2O7 at its relaxed geometry.

```
data_Li2Fe2C2O7
_space_group_name_H-M_alt 'P 1 21/c 1'
_space_group_IT_number 14
_cell_length_a 9.111
_cell_length_b 6.609
_cell_length_c 10.704
_cell_angle_alpha 90.00
_cell_angle_beta 101.70
_cell_angle_gamma 90.00
loop_
_space_group_symop_operation_xyz
'x,y,z'
'-x,-y,-z'
'-x,y+1/2,-z+1/2'
'x,-y+1/2,z+1/2'
loop_
_atom_site_label
_atom_site_type_symbol
_atom_site_fract_x
_atom_site_fract_y
_atom_site_fract_z
Li1 Li 0.048 0.206 0.015
Li2 Li 0.375 0.688 0.421
Fe1 Fe 0.021 0.103 0.260
Fe2 Fe 0.284 0.079 0.675
C1 C 0.218 0.695 0.643
C2 C 0.327 0.246 0.948
O1 O 0.063 0.141 0.671
O2 O 0.130 0.543 0.604
O3 O 0.195 0.174 0.425
O4 O 0.220 0.730 0.257
O5 O 0.294 0.715 0.071
O6 O 0.379 0.134 0.867
O7 O 0.411 0.225 0.562
```

Values from the calculation:
Corrected total energy (MP2020 scheme): -392.43 eV per cell
DFT formation energy: -1.8659 eV per atom
E_tot: -6.830 eV per atom


## Li3V3P8O29 (PBE with a Hubbard U)

Data for crystalline Li3V3P8O29 at its relaxed geometry.

```
data_Li3V3P8O29
_space_group_name_H-M_alt 'P 1'
_space_group_IT_number 1
_cell_length_a 9.708
_cell_length_b 9.748
_cell_length_c 14.326
_cell_angle_alpha 89.04
_cell_angle_beta 89.61
_cell_angle_gamma 60.32
loop_
_space_group_symop_operation_xyz
'x,y,z'
loop_
_atom_site_label
_atom_site_type_symbol
_atom_site_fract_x
_atom_site_fract_y
_atom_site_fract_z
Li1 Li 0.000 0.000 0.000
Li2 Li 0.064 0.921 0.494
Li3 Li 0.151 0.601 0.056
Li4 Li 0.295 0.598 0.550
Li5 Li 0.389 0.698 0.942
Li6 Li 0.831 0.254 0.435
V1 V 0.059 0.487 0.246
V2 V 0.067 0.357 0.747
V3 V 0.504 0.487 0.744
V4 V 0.504 0.926 0.246
V5 V 0.626 0.923 0.739
V6 V 0.629 0.355 0.240
P1 P 0.151 0.141 0.333
P2 P 0.154 0.609 0.840
P3 P 0.286 0.004 0.832
P4 P 0.289 0.607 0.335
P5 P 0.365 0.841 0.648
P6 P 0.380 0.702 0.157
P7 P 0.393 0.262 0.126
P8 P 0.395 0.263 0.628
P9 P 0.727 0.587 0.361
P10 P 0.730 0.592 0.860
P11 P 0.756 0.141 0.830
P12 P 0.767 0.005 0.337
P13 P 0.842 0.238 0.651
P14 P 0.846 0.843 0.152
P15 P 0.981 0.705 0.659
P16 P 0.982 0.230 0.150
O1 O 0.049 0.141 0.064
O2 O 0.055 0.727 0.756
O3 O 0.061 0.129 0.414
O4 O 0.072 0.120 0.239
O5 O 0.072 0.722 0.580
O6 O 0.089 0.682 0.932
O7 O 0.144 0.304 0.321
O8 O 0.150 0.573 0.322
O9 O 0.152 0.180 0.828
O10 O 0.154 0.453 0.823
O11 O 0.246 0.413 0.166
O12 O 0.249 0.260 0.674
O13 O 0.261 0.925 0.740
O14 O 0.267 0.911 0.563
O15 O 0.270 0.722 0.247
O16 O 0.273 0.918 0.916
O17 O 0.275 0.687 0.424
O18 O 0.298 0.698 0.070
O19 O 0.327 0.009 0.328
O20 O 0.327 0.581 0.830
O21 O 0.388 0.280 0.525
O22 O 0.394 0.412 0.672
O23 O 0.398 0.114 0.175
O24 O 0.398 0.266 0.023
O25 O 0.410 0.663 0.659
O26 O 0.410 0.843 0.161
O27 O 0.447 0.000 0.819
O28 O 0.447 0.453 0.320
O29 O 0.520 0.850 0.660
O30 O 0.538 0.545 0.171
O31 O 0.542 0.114 0.670
O32 O 0.542 0.263 0.172
O33 O 0.577 0.594 0.818
O34 O 0.585 0.735 0.314
O35 O 0.600 0.304 0.818
O36 O 0.610 0.998 0.325
O37 O 0.682 0.852 0.166
O38 O 0.684 0.395 0.669
O39 O 0.713 0.008 0.823
O40 O 0.717 0.598 0.963
O41 O 0.722 0.183 0.329
O42 O 0.728 0.738 0.811
O43 O 0.732 0.435 0.323
O44 O 0.735 0.584 0.464
O45 O 0.805 0.273 0.165
O46 O 0.805 0.839 0.660
O47 O 0.849 0.131 0.912
O48 O 0.849 0.166 0.560
O49 O 0.857 0.121 0.735
O50 O 0.865 0.932 0.422
O51 O 0.868 0.923 0.245
O52 O 0.869 0.919 0.068
O53 O 0.876 0.586 0.312
O54 O 0.878 0.446 0.817
O55 O 0.978 0.665 0.159
O56 O 0.981 0.272 0.665
O57 O 0.987 0.385 0.163
O58 O 0.988 0.544 0.669
```

Values from the calculation:
Corrected total energy (MP2020 scheme): -656.88 eV per cell
DFT formation energy: -2.5270 eV per atom
E_tot: -7.056 eV per atom